This record from the Materials Project describes La5Sn3C after structural relaxation. The functional is GGA-PBE.

Values from the calculation:
E_tot in eV per atom: -5.75

Unit cell a=9.5586 b=9.5586 c=6.8782 alpha=90.00 beta=90.00 gamma=120.00
With the nearest neighbours (Å) after each atom.
Fractional coordinates of all 18 atoms:
La: 0.0000 0.2124 0.2500  2 C 2.66
La: 0.0000 0.7876 0.7500  2 C 2.66
La: 0.2124 0.0000 0.2500  2 C 2.66
La: 0.2124 0.2124 0.7500  2 C 2.66
La: 0.3333 0.6667 0.0000  6 Sn 3.36, 2 La 3.44
La: 0.3333 0.6667 0.5000  6 Sn 3.36, 2 La 3.44
La: 0.6667 0.3333 0.0000  6 Sn 3.36, 2 La 3.44
La: 0.6667 0.3333 0.5000  6 Sn 3.36, 2 La 3.44
La: 0.7876 0.0000 0.7500  2 C 2.66
La: 0.7876 0.7876 0.2500  2 C 2.66
Sn: 0.0000 0.4101 0.7500  7 La 3.36-3.61
Sn: 0.0000 0.5899 0.2500  7 La 3.36-3.61
Sn: 0.4101 0.0000 0.7500  7 La 3.36-3.61
Sn: 0.4101 0.4101 0.2500  7 La 3.36-3.61
Sn: 0.5899 0.0000 0.2500  7 La 3.36-3.61
Sn: 0.5899 0.5899 0.7500  7 La 3.36-3.61
C: 0.0000 0.0000 0.0000  6 La 2.66
C: 0.0000 0.0000 0.5000  6 La 2.66

=====

This record from the Materials Project describes Pr12Ni6Pb after structural relaxation. The functional is GGA-PBE.

Values from the calculation:
E_tot in eV per atom: -5.31

Unit cell a=8.8146 b=8.8146 c=8.8146 alpha=109.47 beta=109.47 gamma=109.47
With the nearest neighbours (Å) after each atom.
Fractional coordinates of all 19 atoms:
Pr: 0.1238 0.8145 0.3093  3 Ni 2.77-2.97
Pr: 0.1855 0.3093 0.4947  3 Ni 2.77-2.97
Pr: 0.1855 0.6907 0.8762  3 Ni 2.77-2.97
Pr: 0.3093 0.1238 0.8145  3 Ni 2.77-2.97
Pr: 0.3093 0.4947 0.1855  3 Ni 2.77-2.97
Pr: 0.4947 0.1855 0.3093  3 Ni 2.77-2.97
Pr: 0.5053 0.8145 0.6907  3 Ni 2.77-2.97
Pr: 0.6907 0.5053 0.8145  3 Ni 2.77-2.97
Pr: 0.6907 0.8762 0.1855  3 Ni 2.77-2.97
Pr: 0.8145 0.3093 0.1238  3 Ni 2.77-2.97
Pr: 0.8145 0.6907 0.5053  3 Ni 2.77-2.97
Pr: 0.8762 0.1855 0.6907  3 Ni 2.77-2.97
Ni: 0.1198 0.6198 0.5000  1 Ni 2.44
Ni: 0.3802 0.5000 0.8802  1 Ni 2.44
Ni: 0.5000 0.1198 0.6198  1 Ni 2.44
Ni: 0.5000 0.8802 0.3802  1 Ni 2.44
Ni: 0.6198 0.5000 0.1198  1 Ni 2.44
Ni: 0.8802 0.3802 0.5000  1 Ni 2.44
Pb: 0.0000 0.0000 0.0000  12 Pr 3.67

=====

This record from the Materials Project describes NaHfNbSnO6 after structural relaxation. The functional is GGA-PBE.

Values from the calculation:
E_tot in eV per atom: -7.92

Unit cell a=5.7683 b=5.7683 c=5.7683 alpha=60.00 beta=60.00 gamma=60.00
With the nearest neighbours (Å) after each atom.
Fractional coordinates of all 10 atoms:
Na: 0.0000 0.0000 0.0000  12 O 2.88
Hf: 0.2500 0.2500 0.2500  6 O 2.07
Nb: 0.7500 0.7500 0.7500  6 O 2.01
Sn: 0.5000 0.5000 0.5000  12 O 2.88
O: 0.5039 0.5039 0.9961  1 Nb 2.01, 1 Hf 2.07
O: 0.5039 0.9961 0.5039  1 Nb 2.01, 1 Hf 2.07
O: 0.5039 0.9961 0.9961  1 Nb 2.01, 1 Hf 2.07
O: 0.9961 0.5039 0.5039  1 Nb 2.01, 1 Hf 2.07
O: 0.9961 0.5039 0.9961  1 Nb 2.01, 1 Hf 2.07
O: 0.9961 0.9961 0.5039  1 Nb 2.01, 1 Hf 2.07

=====

This record from the Materials Project describes CsMg6Cd after structural relaxation. The functional is GGA-PBE.

Values from the calculation:
Energy relative to the lowest polymorph listed for this composition in meV/atom: 9.1
E_tot in eV per atom: -1.17

Unit cell a=5.4432 b=6.9576 c=12.1919 alpha=90.00 beta=90.00 gamma=90.00
With the nearest neighbours (Å) after each atom.
Fractional coordinates of all 16 atoms:
Mg: 0.0000 0.7755 0.5753  4 Mg 3.12-3.33, 2 Cd 3.31
Mg: 0.5000 0.7563 0.4178  8 Mg 3.31-3.57, 2 Cd 3.43-3.59, 2 Cs 3.50-3.52
Mg: 0.0000 0.2755 0.0753  4 Mg 3.12-3.33, 2 Cd 3.31
Mg: 0.5000 0.2563 0.9178  8 Mg 3.31-3.57, 2 Cd 3.43-3.59, 2 Cs 3.50-3.52
Mg: 0.0000 0.0000 0.3509  8 Mg 3.15-3.49, 2 Cs 3.53
Mg: 0.5000 0.2437 0.4178  8 Mg 3.31-3.57, 2 Cd 3.43-3.59, 2 Cs 3.50-3.52
Mg: 0.0000 0.5000 0.3337  10 Mg 3.41-3.52, 2 Cd 3.43
Mg: 0.0000 0.2245 0.5753  4 Mg 3.12-3.33, 2 Cd 3.31
Mg: 0.0000 0.5000 0.8509  8 Mg 3.15-3.49, 2 Cs 3.53
Mg: 0.0000 0.0000 0.8337  10 Mg 3.41-3.52, 2 Cd 3.43
Mg: 0.0000 0.7245 0.0753  4 Mg 3.12-3.33, 2 Cd 3.31
Mg: 0.5000 0.7437 0.9178  8 Mg 3.31-3.57, 2 Cd 3.43-3.59, 2 Cs 3.50-3.52
Cd: 0.5000 0.5000 0.1623  10 Mg 3.31-3.59, 2 Cs 3.48
Cd: 0.5000 0.0000 0.6623  10 Mg 3.31-3.59, 2 Cs 3.48
Cs: 0.5000 0.0000 0.1669  2 Cd 3.48, 10 Mg 3.50-3.53
Cs: 0.5000 0.5000 0.6669  2 Cd 3.48, 10 Mg 3.50-3.53

=====

This record from the Materials Project describes LiTi2O4 after structural relaxation. The functional is GGA-PBE.

Values from the calculation:
Energy relative to the lowest polymorph listed for this composition in meV/atom: 32.2
E_tot in eV per atom: -8.18

Unit cell a=8.2463 b=3.8511 c=9.0530 alpha=90.00 beta=90.04 gamma=90.00
With the nearest neighbours (Å) after each atom.
Fractional coordinates of all 28 atoms:
Li: 0.0033 0.2500 0.4018  5 O 1.97-2.20
Li: 0.2507 0.2500 0.0922  5 O 1.99-2.06
Li: 0.7493 0.7500 0.9078  5 O 1.99-2.06
Li: 0.9967 0.7500 0.5982  5 O 1.97-2.20
Ti: 0.0129 0.2500 0.8599  5 O 1.94-2.17
Ti: 0.2618 0.2500 0.6419  6 O 1.94-2.17
Ti: 0.2757 0.7500 0.3698  4 O 1.87-1.96
Ti: 0.4901 0.2500 0.8630  6 O 1.96-2.16
Ti: 0.5099 0.7500 0.1370  6 O 1.96-2.16
Ti: 0.7243 0.2500 0.6302  4 O 1.87-1.96
Ti: 0.7382 0.7500 0.3581  6 O 1.94-2.17
Ti: 0.9871 0.7500 0.1401  5 O 1.94-2.17
O: 0.0011 0.7500 0.3550  2 Ti 1.95-2.17, 2 Li 1.97
O: 0.0075 0.2500 0.1005  3 Ti 1.97-2.18, 1 Li 2.01
O: 0.2415 0.7500 0.6003  3 Ti 1.97-2.11, 1 Li 2.02
O: 0.2465 0.2500 0.4036  3 Ti 1.96-2.16, 1 Li 2.01
O: 0.2484 0.2500 0.8644  3 Ti 1.94-2.02, 1 Li 2.06
O: 0.2490 0.7500 0.1576  2 Ti 1.93-2.16, 2 Li 2.01
O: 0.4922 0.2500 0.0982  3 Ti 1.96-2.13, 1 Li 1.99
O: 0.4976 0.2500 0.6408  3 Ti 1.87-2.01
O: 0.5024 0.7500 0.3592  3 Ti 1.87-2.01
O: 0.5078 0.7500 0.9018  3 Ti 1.96-2.13, 1 Li 1.99
O: 0.7510 0.2500 0.8424  2 Ti 1.93-2.16, 2 Li 2.01
O: 0.7516 0.7500 0.1356  3 Ti 1.94-2.02, 1 Li 2.06
O: 0.7535 0.7500 0.5964  3 Ti 1.96-2.16, 1 Li 2.01
O: 0.7585 0.2500 0.3997  3 Ti 1.97-2.11, 1 Li 2.02
O: 0.9925 0.7500 0.8995  3 Ti 1.97-2.18, 1 Li 2.01
O: 0.9989 0.2500 0.6450  2 Ti 1.95-2.17, 2 Li 1.97

=====

This record from the Materials Project describes LaSmTl2 after structural relaxation. The functional is GGA-PBE.

Values from the calculation:
E_tot in eV per atom: -4.00

Unit cell a=5.5623 b=5.5623 c=5.5623 alpha=60.00 beta=60.00 gamma=60.00
With the nearest neighbours (Å) after each atom.
Fractional coordinates of all 4 atoms:
La: 0.0000 0.0000 0.0000  8 Tl 3.41
Sm: 0.5000 0.5000 0.5000  8 Tl 3.41
Tl: 0.2500 0.2500 0.2500  4 Sm 3.41, 4 La 3.41
Tl: 0.7500 0.7500 0.7500  4 Sm 3.41, 4 La 3.41

=====

This record from the Materials Project describes LiMg14BO16 after structural relaxation. The functional is GGA-PBE.

Values from the calculation:
Energy relative to the lowest polymorph listed for this composition in meV/atom: 0.0
E_tot in eV per atom: -5.99

Unit cell a=4.2620 b=8.3087 c=8.6012 alpha=90.00 beta=90.00 gamma=90.00
With the nearest neighbours (Å) after each atom.
Fractional coordinates of all 32 atoms:
Li: 0.0000 0.0000 0.0000  4 O 2.10-2.13
Mg: 0.0000 0.0000 0.5000  6 O 2.05-2.20
Mg: 0.0000 0.2531 0.2540  6 O 2.05-2.28
Mg: 0.0000 0.2531 0.7460  6 O 2.05-2.28
Mg: 0.0000 0.5000 0.5000  6 O 2.05-2.13
Mg: 0.0000 0.7469 0.2540  6 O 2.05-2.28
Mg: 0.0000 0.7469 0.7460  6 O 2.05-2.28
Mg: 0.5000 0.0000 0.2410  6 O 2.07-2.23
Mg: 0.5000 0.0000 0.7590  6 O 2.07-2.23
Mg: 0.5000 0.2492 0.5000  6 O 2.07-2.20
Mg: 0.5000 0.2566 0.0000  6 O 2.02-2.22
Mg: 0.5000 0.5000 0.2475  6 O 2.07-2.17
Mg: 0.5000 0.5000 0.7525  6 O 2.07-2.17
Mg: 0.5000 0.7434 0.0000  6 O 2.02-2.22
Mg: 0.5000 0.7508 0.5000  6 O 2.07-2.20
B: 0.0000 0.5000 0.0000  2 O 1.42
O: 0.0000 0.0000 0.2440  1 Li 2.10, 5 Mg 2.11-2.20
O: 0.0000 0.0000 0.7560  1 Li 2.10, 5 Mg 2.11-2.20
O: 0.0000 0.2472 0.5000  6 Mg 2.05-2.13
O: 0.0000 0.3297 0.0000  1 B 1.42
O: 0.0000 0.5000 0.2615  5 Mg 2.05-2.13, 1 B 2.25
O: 0.0000 0.5000 0.7385  5 Mg 2.05-2.13, 1 B 2.25
O: 0.0000 0.6703 0.0000  1 B 1.42
O: 0.0000 0.7528 0.5000  6 Mg 2.05-2.13
O: 0.5000 0.0000 0.0000  4 Mg 2.07-2.13, 2 Li 2.13
O: 0.5000 0.0000 0.5000  6 Mg 2.07-2.23
O: 0.5000 0.2503 0.2447  6 Mg 2.07-2.20
O: 0.5000 0.2503 0.7553  6 Mg 2.07-2.20
O: 0.5000 0.5000 0.0000  4 Mg 2.02-2.13, 2 B 2.13
O: 0.5000 0.5000 0.5000  6 Mg 2.08-2.17
O: 0.5000 0.7497 0.2447  6 Mg 2.07-2.20
O: 0.5000 0.7497 0.7553  6 Mg 2.07-2.20

=====

| no. | calculated formation energy (meV per atom) |
| --- | --- |
| 1 | -641 |
| 2 | -266 |
| 3 | -2828 |
| 4 | 262 |
| 5 | -3214 |
| 6 | -403 |
| 7 | -2888 |